(1)
Material: MgP4
Method: DFT, PBE
State: relaxed

## Properties
- Symmetry: P2_1/c
- Energy: -4.9568 eV/atom
- Energy of formation: -306 meV/atom

Cell lengths 5.190, 5.119, 7.597 Å; angles 90.00, 98.57, 90.00 degrees
Element x y z (fractional)
Mg  0.000  0.000  0.000
Mg  0.000  0.500  0.500
P  0.253  0.208  0.754
P  0.253  0.292  0.254
P  0.397  0.609  0.100
P  0.397  0.891  0.600
P  0.603  0.109  0.400
P  0.603  0.391  0.900
P  0.747  0.708  0.746
P  0.747  0.792  0.246


(2)
Material: IrN2
Method: DFT, PBE
State: relaxed

## Properties
- Symmetry: P6_3/mmc
- Energy: -7.5138 eV/atom
- Energy of formation: 749 meV/atom

Cell lengths 3.095, 3.095, 7.496 Å; angles 90.00, 90.00, 120.00 degrees
Element x y z (fractional)
Ir  0.333  0.667  0.250
Ir  0.667  0.333  0.750
N  0.000  0.000  0.084
N  0.000  0.000  0.416
N  0.000  0.000  0.584
N  0.000  0.000  0.916


(3)
Material: TlFeBr3
Method: DFT, PBE
State: relaxed

## Properties
- Symmetry: P6_3cm
- Energy: -3.6777 eV/atom
- Energy of formation: -849 meV/atom

Cell lengths 12.701, 12.701, 6.035 Å; angles 90.00, 90.00, 120.00 degrees
Element x y z (fractional)
Tl  0.000  0.329  0.000
Tl  0.000  0.671  0.500
Tl  0.329  0.000  0.000
Tl  0.329  0.329  0.500
Tl  0.671  0.000  0.500
Tl  0.671  0.671  0.000
Fe  0.000  0.000  0.304
Fe  0.000  0.000  0.804
Fe  0.333  0.667  0.228
Fe  0.333  0.667  0.728
Fe  0.667  0.333  0.228
Fe  0.667  0.333  0.728
Br  0.000  0.171  0.559
Br  0.000  0.829  0.059
Br  0.171  0.000  0.559
Br  0.171  0.171  0.059
Br  0.181  0.514  0.478
Br  0.181  0.667  0.978
Br  0.333  0.514  0.978
Br  0.333  0.819  0.478
Br  0.486  0.667  0.478
Br  0.486  0.819  0.978
Br  0.514  0.181  0.478
Br  0.514  0.333  0.978
Br  0.667  0.181  0.978
Br  0.667  0.486  0.478
Br  0.819  0.333  0.478
Br  0.819  0.486  0.978
Br  0.829  0.000  0.059
Br  0.829  0.829  0.559


(4)
Material: Dy3Y
Method: DFT, PBE
State: relaxed

## Properties
- Symmetry: I4/mmm
- Energy: -5.0465 eV/atom
- Energy of formation: 25 meV/atom

Cell lengths 5.026, 5.026, 10.082 Å; angles 90.00, 90.00, 90.00 degrees
Element x y z (fractional)
Dy  0.000  0.000  0.000
Dy  0.000  0.500  0.250
Dy  0.000  0.500  0.750
Dy  0.500  0.000  0.250
Dy  0.500  0.000  0.750
Dy  0.500  0.500  0.500
Y  0.000  0.000  0.500
Y  0.500  0.500  0.000